A plane-wave DFT calculation with PBE was carried out for a geometry-optimized Na14Ca4Zr4Si7S5O48 structure.

Geometry as POSCAR:
```
Na14Ca4Zr4Si7S5O48
1.0
18.8013 0.0077 0.0083
-4.6970 8.1417 0.0060
0.0123 0.0244 22.7673
O Na Si S Ca Zr
144 42 21 15 12 12
Direct
0.0215 0.2162 0.9238
0.4550 0.3594 0.6431
0.6635 0.8482 0.9732
0.6767 0.8510 0.5803
0.1674 0.4825 0.4742
0.1724 0.8667 0.9682
0.9884 0.7598 0.8080
0.0565 0.4575 0.8622
0.5828 0.6666 0.0820
0.0922 0.1679 0.6998
0.9252 0.5263 0.7435
0.4959 0.1899 0.2003
0.5025 0.8294 0.0931
0.9395 0.3508 0.9259
0.0214 0.8189 0.4173
0.9018 0.0012 0.6995
0.2654 0.6645 0.9706
0.8277 0.1588 0.4179
0.3987 0.8005 0.1963
0.2415 0.1295 0.9158
0.8985 0.7799 0.3107
0.5750 0.6808 0.7516
0.0871 0.1757 0.0965
0.2463 0.3594 0.1315
0.1676 0.8782 0.8616
0.4360 0.5267 0.4250
0.3203 0.1410 0.4145
0.4945 0.7686 0.8109
0.2129 0.1254 0.5319
0.3960 0.8129 0.9218
0.5197 0.8247 0.4226
0.7675 0.8920 0.3545
0.7588 0.8575 0.4715
0.4068 0.9876 0.7005
0.6410 0.8208 0.2447
0.3531 0.1127 0.0089
0.2530 0.3706 0.4127
0.8204 0.0966 0.1329
0.5666 0.4696 0.8603
0.8520 0.5902 0.5107
0.3915 0.0073 0.8173
0.3228 0.5131 0.9202
0.1185 0.2019 0.8163
0.6531 0.4864 0.7543
0.9035 0.8143 0.1938
0.7563 0.6763 0.2445
0.5861 0.9923 0.6003
0.7453 0.1311 0.6358
0.6673 0.4704 0.4678
0.3209 0.5490 0.6366
0.5733 0.6649 0.4671
0.0843 0.5021 0.5831
0.1768 0.5024 0.0774
0.5692 0.4764 0.9671
0.9272 0.5676 0.0252
0.7497 0.1348 0.9129
0.7064 0.1393 0.5235
0.9041 0.9929 0.0861
0.2283 0.0985 0.6365
0.1526 0.8208 0.2547
0.5938 0.0141 0.1952
0.9986 0.2212 0.3078
0.7599 0.6734 0.8636
0.5816 0.9757 0.9224
0.9414 0.5180 0.4140
0.4039 0.8169 0.5879
0.4247 0.3248 0.2413
0.5140 0.2172 0.9181
0.4048 0.9743 0.4235
0.4379 0.5797 0.0215
0.9395 0.3538 0.6428
0.4985 0.1600 0.5872
0.8247 0.5030 0.6240
0.0716 0.6615 0.4662
0.2552 0.8476 0.0770
0.6611 0.8495 0.8574
0.0909 0.9689 0.9228
0.8372 0.1788 0.7448
0.0047 0.1804 0.5953
0.7282 0.3546 0.1339
0.2603 0.8481 0.3645
0.7536 0.8528 0.7514
0.7539 0.6583 0.5783
0.4850 0.2119 0.3062
0.9046 0.8355 0.9228
0.0777 0.4846 0.9674
0.0779 0.4699 0.2492
0.5101 0.8167 0.7055
0.2567 0.8338 0.7450
0.3222 0.1447 0.1213
0.8391 0.5118 0.2469
0.0833 0.6885 0.0722
0.1681 0.8559 0.5781
0.9138 0.8321 0.5917
0.8962 0.0399 0.8150
0.7560 0.8447 0.0797
0.4399 0.3703 0.9141
0.0680 0.6616 0.3596
0.0860 0.1919 0.4230
0.8203 0.5005 0.9137
0.2695 0.6552 0.8642
0.1639 0.4760 0.3574
0.1252 0.0493 0.3117
0.0119 0.2053 0.2023
0.0926 0.0011 0.5920
0.2468 0.3391 0.7438
0.4252 0.2852 0.5276
0.2620 0.8629 0.4810
0.2557 0.6674 0.5815
0.9990 0.8383 0.0861
0.6675 0.4798 0.0771
0.5917 0.1835 0.0895
0.5526 0.6502 0.3613
0.7462 0.1496 0.2439
0.0735 0.6900 0.7470
0.2079 0.2820 0.0189
0.4262 0.5400 0.7457
0.7394 0.3528 0.4153
0.2531 0.6566 0.2509
0.9975 0.8032 0.7019
0.5902 0.2039 0.7002
0.6148 0.0354 0.3121
0.6264 0.2075 0.8135
0.3972 0.7531 0.3126
0.3370 0.5678 0.5301
0.9364 0.2981 0.5260
0.0908 0.9762 0.1977
0.5886 0.2054 0.4227
0.9287 0.3137 0.2442
0.4147 0.9971 0.0900
0.3411 0.1641 0.7467
0.9528 0.5494 0.1425
0.6619 0.4485 0.3609
0.2460 0.1552 0.2361
0.1454 0.4641 0.7454
0.8372 0.1041 0.0263
0.3359 0.4958 0.2426
0.7606 0.6612 0.9795
0.7470 0.3379 0.7378
0.7113 0.3010 0.0289
0.9044 0.9770 0.4222
0.5726 0.4538 0.2466
0.5843 0.4804 0.5710
0.4341 0.5207 0.1371
0.1605 0.9930 0.0866
0.3190 0.3042 0.3334
0.6864 0.0220 0.7506
0.6677 0.6573 0.6629
0.3365 0.6827 0.0905
0.8407 0.6838 0.0835
0.8515 0.6819 0.4196
0.1677 0.2822 0.9143
0.1587 0.6564 0.6720
0.4837 0.6809 0.9313
0.5031 0.0007 0.5004
0.4957 0.3419 0.7329
0.6473 0.9641 0.0976
0.8171 0.3327 0.8292
0.1840 0.3460 0.2589
0.5004 0.0007 0.0049
0.1682 0.6776 0.1713
0.9912 0.9954 0.4969
0.6610 0.6618 0.1754
0.3432 0.0055 0.5748
0.1466 0.3265 0.5892
0.1710 0.0663 0.4040
0.8220 0.3051 0.3281
0.9678 0.6662 0.9280
0.9972 0.9976 0.0035
0.3566 0.0459 0.9149
0.8043 0.9803 0.2604
0.6629 0.3347 0.5772
0.4975 0.6474 0.2502
0.9900 0.6463 0.2400
0.3249 0.3184 0.8177
0.6954 0.3645 0.2548
0.6748 0.2830 0.9044
0.1928 0.0216 0.7467
0.3049 0.6273 0.7398
0.9974 0.3459 0.7416
0.8463 0.0293 0.9048
0.4701 0.2733 0.4300
0.6784 0.0420 0.4111
0.8379 0.9908 0.5765
0.9731 0.2692 0.4313
0.3494 0.6663 0.4049
0.1516 0.2959 0.7533
0.4882 0.6403 0.0824
0.3470 0.6797 0.2527
0.1779 0.3261 0.0792
0.8151 0.6679 0.9205
0.6780 0.0287 0.5824
0.9863 0.6478 0.0818
0.8172 0.9747 0.4146
0.3156 0.9638 0.4214
0.8472 0.6937 0.2516
0.9891 0.3401 0.5854
0.6506 0.0035 0.2515
0.1552 0.9997 0.2527
0.3478 0.9977 0.7544
0.8396 0.6455 0.5746
0.3404 0.0344 0.0734
0.4894 0.3312 0.5818
0.6564 0.3136 0.7533
0.1666 0.3715 0.4155
0.6640 0.9602 0.9149
0.8479 0.0167 0.7543
0.5205 0.6675 0.4186
0.3315 0.6484 0.5830
0.6751 0.3291 0.0822
0.8317 0.0163 0.0805
0.0036 0.3010 0.2517
0.1756 0.0212 0.5843
0.5011 0.7020 0.7539
0.6648 0.3691 0.4164
0.5215 0.3815 0.9140
0.0230 0.3755 0.9191
0.1679 0.9615 0.9166
0.4947 0.2940 0.2494
0.0237 0.6647 0.4135
0.9955 0.6957 0.7505
0.3139 0.6618 0.9185
0.3309 0.3293 0.4834
0.9997 0.9986 0.3513
0.8334 0.3342 0.4900
0.1670 0.6622 0.8111
0.5044 0.0093 0.8478
0.3350 0.3297 0.9944
0.8309 0.3334 0.9829
0.6692 0.6759 0.3141
0.3394 0.3349 0.6776
0.4967 0.9932 0.3481
0.9962 0.0002 0.8474
0.8379 0.3389 0.1799
0.5048 0.0190 0.6527
0.6642 0.6699 0.0170
0.4925 0.9841 0.1532
0.8312 0.3361 0.6767
0.0037 0.9908 0.1527
0.9919 0.0014 0.6532
0.6792 0.6818 0.8117
0.1642 0.6592 0.5169
0.1678 0.6676 0.0268
0.6735 0.6816 0.5230
0.3305 0.3264 0.1765
0.1794 0.6787 0.3131
```

Output
- space group = P1, No. 1
- energy of formation (eV/atom) = -2.78
- magnetic moment (μB/cell) = 0.00